(1)
This record from the Materials Project describes a relaxed YErAl6 crystal. The functional is PBE.

Calculated values
**ΔH_f (0 K)**: -0.4258 eV per atom

POSCAR file:
```
YErAl6
1.0
3.122 1.803 13.958
-3.122 1.803 13.958
0.000 -3.605 13.958
Y Er Al
3 3 18
Cartesian
0.000 0.000 0.000
0.000 0.000 9.106
0.000 0.000 20.927
0.000 0.000 4.546
0.000 0.000 25.487
0.000 0.000 30.042
-1.372 -0.792 13.850
-1.570 -0.907 18.499
0.000 -1.801 11.532
-1.560 0.901 11.532
-1.757 -1.014 23.178
0.000 -1.578 16.198
-1.367 0.789 16.198
1.372 -0.792 13.850
0.000 1.585 13.850
-1.365 -0.788 34.774
1.560 0.901 11.532
1.570 -0.907 18.499
0.000 1.813 18.499
1.367 0.789 16.198
1.757 -1.014 23.178
0.000 2.029 23.178
1.365 -0.788 34.774
0.000 1.576 34.774
```

=====

(2)
This record from the Materials Project describes a relaxed RbAlSiO4 crystal. The functional is PBE.

Calculated values
**E (MP2020)**: -7.46 eV per atom
**ΔH_f (0 K)**: -3.1852 eV per atom

POSCAR file:
```
RbAlSiO4
1.0
8.908 0.000 0.000
0.000 9.343 0.000
0.000 0.000 5.380
Rb Al Si O
4 4 4 16
Cartesian
0.011 1.856 0.000
4.444 6.528 2.690
4.465 2.816 0.000
8.898 7.487 2.690
1.649 5.456 0.127
2.805 0.784 2.817
6.104 8.559 0.127
7.259 3.887 2.817
1.712 3.880 2.820
2.742 8.551 0.130
6.166 0.792 2.820
7.196 5.464 0.130
0.090 3.843 2.819
2.177 8.992 4.028
2.182 0.291 1.240
2.196 7.068 0.544
2.259 2.397 3.234
2.272 4.963 3.930
2.277 4.320 1.338
4.365 8.514 0.129
4.544 0.829 2.819
6.631 5.023 4.028
6.636 4.381 1.240
6.650 6.947 0.544
6.713 2.275 3.234
6.727 9.052 3.930
6.731 0.351 1.338
8.819 5.501 0.129
```

=====

Number 1: electronic total energy -110.74 eV/cell. Number 2: electronic total energy -197.97 eV/cell.